# 1
{
  "formula": "Sc2CrN3",
  "functional": "PBE",
  "state": "optimized geometry",
  "e_form_ev_per_atom": -1.395,
  "space_group": "No. 71",
  "magmom_total_mub_per_fu": 1.1,
  "lattice_angstrom": [[-1.5467, 1.7942, 5.9303], [1.5467, -1.7942, 5.9303], [1.5467, 1.7942, -5.9303]],
  "species": ["Sc", "Sc", "Cr", "N", "N", "N"],
  "frac_coords": [[0.1534, 0.1534, 0.0000], [0.8466, 0.8466, 0.0000], [0.5000, 0.5000, 0.0000], [0.0000, 0.5000, 0.5000], [0.3338, 0.3338, 0.0000], [0.6662, 0.6662, 0.0000]]
}

---

# 2
{
  "formula": "HfSCl6O",
  "functional": "PBE",
  "state": "optimized geometry",
  "e_form_ev_per_atom": -1.369,
  "space_group": "No. 14",
  "magmom_total_mub_per_fu": 0.0,
  "lattice_angstrom": [[7.0163, 0.0000, 0.0000], [0.0000, 22.2534, 0.0000], [-3.2170, 0.0000, 6.8964]],
  "species": ["Hf", "Hf", "Hf", "Hf", "S", "S", "S", "S", "Cl", "Cl", "Cl", "Cl", "Cl", "Cl", "Cl", "Cl", "Cl", "Cl", "Cl", "Cl", "Cl", "Cl", "Cl", "Cl", "Cl", "Cl", "Cl", "Cl", "Cl", "Cl", "Cl", "Cl", "O", "O", "O", "O"],
  "frac_coords": [[0.0017, 0.0741, 0.1513], [0.0017, 0.4259, 0.6513], [0.9983, 0.5741, 0.3487], [0.9983, 0.9259, 0.8487], [0.3720, 0.6396, 0.8203], [0.3720, 0.8604, 0.3203], [0.6280, 0.1396, 0.6797], [0.6280, 0.3604, 0.1797], [0.1819, 0.1651, 0.1689], [0.1819, 0.3349, 0.6689], [0.1967, 0.0261, 0.9623], [0.1967, 0.4739, 0.4623], [0.2130, 0.7179, 0.8192], [0.2130, 0.7821, 0.3192], [0.2381, 0.0339, 0.4474], [0.2381, 0.4661, 0.9474], [0.2526, 0.6088, 0.2485], [0.2526, 0.8912, 0.7485], [0.4055, 0.1741, 0.7619], [0.4055, 0.3259, 0.2619], [0.5945, 0.6741, 0.7381], [0.5945, 0.8259, 0.2381], [0.7474, 0.1088, 0.2515], [0.7474, 0.3912, 0.7515], [0.7619, 0.5339, 0.0526], [0.7619, 0.9661, 0.5526], [0.7870, 0.2179, 0.6808], [0.7870, 0.2821, 0.1808], [0.8033, 0.5261, 0.5377], [0.8033, 0.9739, 0.0377], [0.8181, 0.6651, 0.3311], [0.8181, 0.8349, 0.8311], [0.2269, 0.6028, 0.6572], [0.2269, 0.8972, 0.1572], [0.7731, 0.1028, 0.8428], [0.7731, 0.3972, 0.3428]]
}

---

# 3
{
  "formula": "LiY4Ag4O12",
  "functional": "PBE",
  "state": "optimized geometry",
  "e_form_ev_per_atom": -2.166,
  "space_group": "No. 6",
  "magmom_total_mub_per_fu": 1.0,
  "lattice_angstrom": [[6.1770, 0.0000, 0.0000], [0.0000, 6.9649, 0.0000], [-2.1457, 0.0000, 6.8824]],
  "species": ["Li", "Y", "Y", "Y", "Y", "Ag", "Ag", "Ag", "Ag", "O", "O", "O", "O", "O", "O", "O", "O", "O", "O", "O", "O"],
  "frac_coords": [[0.0000, 0.0000, 0.0000], [0.1633, 0.0000, 0.6489], [0.2300, 0.5000, 0.9011], [0.6292, 0.0000, 0.2316], [0.7601, 0.5000, 0.3386], [0.2057, 0.2595, 0.2952], [0.2057, 0.7405, 0.2952], [0.6978, 0.2524, 0.7800], [0.6978, 0.7476, 0.7800], [0.0247, 0.5000, 0.1606], [0.0367, 0.2072, 0.8510], [0.0367, 0.7928, 0.8510], [0.3624, 0.2858, 0.7151], [0.3624, 0.7142, 0.7151], [0.3676, 0.0000, 0.4053], [0.4706, 0.3017, 0.1697], [0.4706, 0.6983, 0.1697], [0.6682, 0.0000, 0.9275], [0.7686, 0.5000, 0.6547], [0.9222, 0.1981, 0.3952], [0.9222, 0.8019, 0.3952]]
}

---

# 4
{
  "formula": "TlCl3",
  "functional": "PBE",
  "state": "optimized geometry",
  "e_form_ev_per_atom": -0.989,
  "space_group": "No. 62",
  "magmom_total_mub_per_fu": 0.0,
  "lattice_angstrom": [[13.0190, 0.0000, 0.0000], [0.0000, 11.1518, 0.0000], [0.0000, 0.0000, 7.3685]],
  "species": ["Tl", "Tl", "Tl", "Tl", "Cl", "Cl", "Cl", "Cl", "Cl", "Cl", "Cl", "Cl", "Cl", "Cl", "Cl", "Cl"],
  "frac_coords": [[0.2485, 0.2500, 0.1730], [0.2515, 0.7500, 0.6730], [0.7485, 0.2500, 0.3270], [0.7515, 0.7500, 0.8270], [0.0861, 0.2500, 0.3222], [0.1663, 0.5683, 0.5872], [0.1663, 0.9317, 0.5872], [0.3337, 0.0683, 0.0872], [0.3337, 0.4317, 0.0872], [0.4139, 0.7500, 0.8222], [0.5861, 0.2500, 0.1778], [0.6663, 0.5683, 0.9128], [0.6663, 0.9317, 0.9128], [0.8337, 0.0683, 0.4128], [0.8337, 0.4317, 0.4128], [0.9139, 0.7500, 0.6778]]
}

---

# 5
{
  "formula": "TaRu3C",
  "functional": "PBE",
  "state": "optimized geometry",
  "e_form_ev_per_atom": -0.077,
  "space_group": "No. 221",
  "magmom_total_mub_per_fu": 0.0,
  "lattice_angstrom": [[4.0556, 0.0000, 0.0000], [0.0000, 4.0556, 0.0000], [0.0000, 0.0000, 4.0556]],
  "species": ["Ta", "Ru", "Ru", "Ru", "C"],
  "frac_coords": [[0.0000, 0.0000, 0.0000], [0.0000, 0.5000, 0.5000], [0.5000, 0.0000, 0.5000], [0.5000, 0.5000, 0.0000], [0.5000, 0.5000, 0.5000]]
}

---

# 6
{
  "formula": "CuHgSBr",
  "functional": "PBE",
  "state": "optimized geometry",
  "e_form_ev_per_atom": -0.538,
  "relative_energy_mev_per_atom": 2,
  "space_group": "No. 51",
  "magmom_total_mub_per_fu": 0.0,
  "lattice_angstrom": [[10.1025, 0.0000, 0.0000], [0.0000, 4.1105, 0.0000], [0.0000, 0.0000, 9.5789]],
  "species": ["Cu", "Cu", "Cu", "Cu", "Hg", "Hg", "Hg", "Hg", "S", "S", "S", "S", "Br", "Br", "Br", "Br"],
  "frac_coords": [[0.0763, 0.0000, 0.2074], [0.4237, 0.0000, 0.2074], [0.5763, 0.0000, 0.7926], [0.9237, 0.0000, 0.7926], [0.0000, 0.5000, 0.5000], [0.2500, 0.5000, 0.7799], [0.5000, 0.5000, 0.5000], [0.7500, 0.5000, 0.2201], [0.0091, 0.5000, 0.7546], [0.4909, 0.5000, 0.7546], [0.5091, 0.5000, 0.2454], [0.9909, 0.5000, 0.2454], [0.2500, 0.0000, 0.0280], [0.2500, 0.0000, 0.4496], [0.7500, 0.0000, 0.5504], [0.7500, 0.0000, 0.9720]]
}

---

# 7
{
  "formula": "BaSO2",
  "functional": "PBE",
  "state": "optimized geometry",
  "e_form_ev_per_atom": -2.123,
  "space_group": "No. 62",
  "magmom_total_mub_per_fu": 0.0,
  "lattice_angstrom": [[8.9554, 0.0000, 0.0000], [0.0000, 4.9771, 0.0000], [0.0000, 0.0000, 6.9673]],
  "species": ["Ba", "Ba", "Ba", "Ba", "S", "S", "S", "S", "O", "O", "O", "O", "O", "O", "O", "O"],
  "frac_coords": [[0.1942, 0.2500, 0.1842], [0.3058, 0.7500, 0.6842], [0.6942, 0.2500, 0.3158], [0.8058, 0.7500, 0.8158], [0.0718, 0.2500, 0.7215], [0.4282, 0.7500, 0.2215], [0.5718, 0.2500, 0.7785], [0.9282, 0.7500, 0.2785], [0.0855, 0.7500, 0.3787], [0.2030, 0.2500, 0.5653], [0.2970, 0.7500, 0.0653], [0.4145, 0.2500, 0.8787], [0.5855, 0.7500, 0.1213], [0.7030, 0.2500, 0.9347], [0.7970, 0.7500, 0.4347], [0.9145, 0.2500, 0.6213]]
}

---

# 8
{
  "formula": "TaWSe4",
  "functional": "PBE",
  "state": "optimized geometry",
  "e_form_ev_per_atom": -0.982,
  "space_group": "No. 187",
  "magmom_total_mub_per_fu": 0.1,
  "lattice_angstrom": [[3.4025, 0.0000, 0.0000], [-1.7013, 2.9467, 0.0000], [0.0000, 0.0000, 13.5755]],
  "species": ["Ta", "W", "Se", "Se", "Se", "Se"],
  "frac_coords": [[0.0000, 0.0000, 0.0000], [0.0000, 0.0000, 0.5000], [0.3333, 0.6667, 0.3781], [0.3333, 0.6667, 0.6219], [0.6667, 0.3333, 0.1260], [0.6667, 0.3333, 0.8740]]
}

---

# 9
{
  "formula": "UTaN2",
  "functional": "PBE",
  "state": "optimized geometry",
  "e_form_ev_per_atom": -1.487,
  "space_group": "No. 62",
  "lattice_angstrom": [[5.6413, 0.0000, 0.0000], [0.0000, 3.2332, 0.0000], [0.0000, 0.0000, 11.0626]],
  "species": ["U", "U", "U", "U", "Ta", "Ta", "Ta", "Ta", "N", "N", "N", "N", "N", "N", "N", "N"],
  "frac_coords": [[0.0793, 0.2500, 0.1430], [0.4207, 0.7500, 0.6430], [0.5793, 0.2500, 0.3570], [0.9207, 0.7500, 0.8570], [0.0768, 0.7500, 0.3974], [0.4232, 0.2500, 0.8974], [0.5768, 0.7500, 0.1026], [0.9232, 0.2500, 0.6026], [0.1622, 0.2500, 0.7549], [0.2409, 0.7500, 0.9958], [0.2591, 0.2500, 0.4958], [0.3378, 0.7500, 0.2549], [0.6622, 0.2500, 0.7451], [0.7409, 0.7500, 0.5042], [0.7591, 0.2500, 0.0042], [0.8378, 0.7500, 0.2451]]
}

---

# 10
{
  "formula": "Sr2HgGe",
  "functional": "PBE",
  "state": "optimized geometry",
  "e_form_ev_per_atom": -0.561,
  "space_group": "No. 225",
  "lattice_angstrom": [[0.0000, 3.9399, 3.9399], [3.9399, 0.0000, 3.9399], [3.9399, 3.9399, 0.0000]],
  "species": ["Sr", "Sr", "Hg", "Ge"],
  "frac_coords": [[0.2500, 0.2500, 0.2500], [0.7500, 0.7500, 0.7500], [0.0000, 0.0000, 0.0000], [0.5000, 0.5000, 0.5000]]
}